(1)
Material: DyCu7
Method: DFT, GGA-PBE
State: optimized geometry

Geometry as POSCAR:
```
DyCu7
1.0
4.1116 0.0000 0.0000
0.0000 4.9414 0.0000
0.0000 0.0000 17.0621
Dy Cu
3 21
Cartesian
0.0000 0.0000 0.0000
0.0000 2.4707 4.3877
0.0000 2.4707 12.6744
0.0000 0.0000 2.8864
0.0000 0.0000 5.9330
0.0000 0.0000 8.5311
0.0000 0.0000 11.1291
0.0000 0.0000 14.1757
0.0000 2.4707 1.4420
0.0000 2.4707 7.2628
0.0000 2.4707 9.7994
0.0000 2.4707 15.6201
2.0558 0.0000 4.3316
2.0558 0.0000 12.7305
2.0558 1.2359 2.1687
2.0558 1.2377 6.4593
2.0558 1.2377 10.6029
2.0558 1.2359 14.8935
2.0558 2.4707 0.0000
2.0558 2.4707 8.5311
2.0558 3.7056 2.1687
2.0558 3.7037 6.4593
2.0558 3.7037 10.6029
2.0558 3.7056 14.8935
```

- calculated formation energy (meV/atom) = -95
- calculated density (Mg/m³) = 8.73
- spin magnetization (μB per formula unit) = 0.0

***

(2)
Material: BaO10
Method: DFT, GGA-PBE
State: optimized geometry

Geometry as POSCAR:
```
BaO10
1.0
10.6702 0.0000 0.0000
0.0000 7.9033 0.0000
-3.8271 0.0000 9.2124
Ba O
4 40
Cartesian
0.9371 1.7280 2.2247
-0.9764 2.2237 6.8309
7.8195 5.6796 2.3815
5.9059 6.1754 6.9876
-3.2660 1.7978 8.4964
-1.3524 2.1538 3.8902
-0.4680 4.1489 1.8910
-2.3816 7.7061 6.4971
0.1737 4.9977 1.0182
-1.7398 6.8573 5.6244
0.3287 5.0539 4.5151
-1.5848 6.8011 9.1213
0.5170 4.6166 5.6533
2.4306 7.2384 1.0471
1.2190 1.5868 5.1391
3.1326 2.3648 0.5329
-0.0466 4.1940 8.5422
1.8669 7.6610 3.9360
1.6950 0.2745 5.1574
3.6086 3.6772 0.5512
0.9578 0.1128 7.9024
2.8714 3.8388 3.2962
3.0295 5.0402 3.0710
1.1159 6.8148 7.6772
5.7271 1.0886 1.5352
3.8135 2.8631 6.1414
3.9717 4.0645 5.9162
5.8852 7.7905 1.3100
3.2345 4.2261 8.6612
5.1480 7.6289 4.0550
4.9761 0.2424 5.2764
6.8897 3.7093 0.6702
3.7104 5.5385 8.6794
5.6240 6.3165 4.0733
4.4125 0.6650 8.1653
6.3260 3.2867 3.5591
8.4279 1.1022 0.0911
6.5143 2.8495 4.6973
8.5829 1.0461 3.5880
6.6693 2.9056 8.1942
9.2246 0.1972 2.7152
7.3111 3.7544 7.3214
8.1955 5.7495 5.3222
10.1090 6.1055 0.7160
```

- calculated formation energy (meV/atom) = -419
- calculated density (Mg/m³) = 2.54
- spin magnetization (μB per formula unit) = 6.0
- E above lowest polymorph (meV/atom) = 182